Density functional theory data (PBE) for crystalline Mn3Fe9P4 at its relaxed geometry.

Output
Theoretical density: 7.33 Mg/m³
DFT formation energy: -0.33 eV/atom

a b c (Å): 4.4158 6.7330 6.7498
angles (deg): 83.71 70.92 70.88
Space group P1 (No. 1)
Unique sites:
Mn  0.0000  0.0000  0.0000
Mn  0.1548  0.6397  0.0509
Mn  0.7037  0.7933  0.8411
Fe  0.1879  0.4287  0.6954
Fe  0.3030  0.7721  0.6347
Fe  0.4237  0.2096  0.9773
Fe  0.4660  0.2108  0.3559
Fe  0.4964  0.8457  0.2125
Fe  0.7643  0.4301  0.0745
Fe  0.8201  0.4903  0.4175
Fe  0.8640  0.8696  0.4157
Fe  0.8804  0.1502  0.6349
P  0.0381  0.1579  0.2730
P  0.3026  0.5722  0.3621
P  0.3886  0.0690  0.6898
P  0.6220  0.4817  0.7782